No. 1
The following is a PBE calculation of a relaxed Ca6Al6Si3H2O24 crystal, from the Materials Project database.

Cell: 7.6800 7.8767 19.2718 Å, 97.78 97.26 109.77°
Last column: nearest neighbours and their distance in Å.
Positions (direct):
Ca 0.8000 0.7967 0.9030  6 O 2.30-2.54
Ca 0.4792 0.4659 0.2383  6 O 2.33-2.59
Ca 0.1354 0.1273 0.5703  5 O 2.29-2.50
Ca 0.8950 0.9008 0.0992  6 O 2.36-2.56
Ca 0.6272 0.3226 0.6642  5 O 2.33-2.50
Ca 0.6687 0.9790 0.3315  5 O 2.25-2.45
Ca 0.9930 0.2869 0.0002  6 O 2.32-2.53
Ca 0.2429 0.2307 0.7656  6 O 2.34-2.62
Ca 0.5757 0.5679 0.4333  5 O 2.34-2.40
Ca 0.9584 0.6549 0.3321  6 O 2.31-2.55
Ca 0.3328 0.6422 0.6641  6 O 2.26-2.50
Ca 0.2978 0.0061 0.0027  6 O 2.32-2.59
O 0.8183 0.2204 0.7613  1 Si 1.65, 1 Al 1.80
O 0.0020 0.7820 0.0009  1 H 0.97
O 0.1445 0.5540 0.4269  1 Si 1.64, 1 Al 1.80
O 0.1476 0.3518 0.6678  3 Ca 2.26-2.37, 2 O 2.33
O 0.4242 0.1456 0.8524  2 Al 1.74-1.77
O 0.6737 0.4352 0.3370  1 H 0.97
O 0.7769 0.9961 0.9974  3 Ca 2.30-2.38
O 0.0462 0.4853 0.2369  1 Si 1.66, 1 Al 1.79
O 0.0662 0.0683 0.9236  3 Ca 2.35-2.41
O 0.2744 0.2731 0.4273  2 Si 1.69
O 0.2190 0.9538 0.3374  1 Si 1.63, 1 Al 1.80
O 0.4590 0.4758 0.7277  3 Ca 2.27-2.38, 2 O 2.33
O 0.7107 0.1515 0.5744  2 Al 1.75-1.76
O 0.3933 0.4084 0.6038  3 Ca 2.26-2.36, 2 O 2.33
O 0.9588 0.2410 0.3358  1 Si 1.63, 1 Al 1.81
O 0.5517 0.1415 0.4267  1 Si 1.64, 1 Al 1.80
O 0.3732 0.7961 0.9044  1 Si 1.65, 1 Al 1.77
O 0.7573 0.4843 0.5214  2 Al 1.75
O 0.6258 0.9098 0.8093  1 Si 1.63, 1 Al 1.79
O 0.0935 0.7980 0.1898  1 Si 1.65, 1 Al 1.79
O 0.6231 0.9023 0.6710  1 Si 1.64, 1 Al 1.81
O 0.9436 0.9394 0.7599  2 Si 1.69
O 0.2383 0.9550 0.4753  1 Si 1.64, 1 Al 1.81
O 0.2797 0.5609 0.9946  1 Si 1.64, 1 Al 1.81
O 0.1529 0.7134 0.5743  2 Al 1.75-1.76
O 0.4902 0.7619 0.5191  2 Al 1.74-1.75
O 0.3382 0.1010 0.6675  1 H 0.97
O 0.5630 0.2774 0.0026  2 Al 1.74-1.76
O 0.6277 0.6295 0.0949  2 Al 1.75-1.76
O 0.7338 0.7470 0.2732  3 Ca 2.25-2.35, 2 O 2.28-2.34
O 0.4847 0.6879 0.3358  3 Ca 2.27-2.37, 2 O 2.30-2.34
O 0.2199 0.8050 0.7586  1 Si 1.64, 1 Al 1.80
O 0.8884 0.6213 0.6699  1 Si 1.63, 1 Al 1.80
O 0.9168 0.4765 0.0979  1 Si 1.64, 1 Al 1.81
O 0.8789 0.8766 0.5756  2 Al 1.74-1.75
O 0.5222 0.5314 0.9062  1 Si 1.65, 1 Al 1.81
O 0.1615 0.4386 0.8530  1 Si 1.65, 1 Al 1.77
O 0.1436 0.1452 0.0740  1 H 0.97
O 0.7928 0.8099 0.3948  3 Ca 2.27-2.37, 2 O 2.28-2.30
O 0.5715 0.2973 0.1511  2 Al 1.75-1.77
O 0.2834 0.5736 0.1464  1 Si 1.64, 1 Al 1.80
O 0.4846 0.0393 0.2431  2 Al 1.74-1.77
O 0.4587 0.9076 0.0921  2 Al 1.75-1.77
O 0.8172 0.0939 0.1860  2 Al 1.73-1.76
O 0.2095 0.2025 0.2396  2 Al 1.75-1.76
O 0.9578 0.2443 0.4752  1 Si 1.64, 1 Al 1.80
O 0.9052 0.6208 0.8074  1 Si 1.64, 1 Al 1.80
O 0.8175 0.3879 0.9080  2 Al 1.73-1.77
Al 0.7448 0.2572 0.5005  4 O 1.75-1.80
Al 0.6654 0.4203 0.0867  4 O 1.75-1.81
Al 0.4105 0.9181 0.8334  4 O 1.74-1.80
Al 0.4183 0.6732 0.0825  4 O 1.75-1.81
Al 0.9183 0.6733 0.5832  4 O 1.75-1.80
Al 0.0069 0.2528 0.2467  4 O 1.73-1.81
Al 0.2579 0.7466 0.4994  4 O 1.74-1.81
Al 0.5803 0.3324 0.9185  4 O 1.74-1.81
Al 0.2516 0.0006 0.2501  4 O 1.74-1.80
Al 0.5834 0.0846 0.1663  4 O 1.76-1.77
Al 0.9222 0.4152 0.8336  4 O 1.73-1.80
Al 0.6748 0.9233 0.5828  4 O 1.74-1.81
Si 0.3220 0.0776 0.4163  4 O 1.63-1.69
Si 0.9902 0.7440 0.7491  4 O 1.63-1.69
Si 0.7494 0.9950 0.7508  4 O 1.63-1.69
Si 0.3352 0.5831 0.9158  4 O 1.64-1.65
Si 0.0807 0.3294 0.4163  4 O 1.63-1.69
Si 0.0861 0.5854 0.1672  4 O 1.64-1.66
H 0.2303 0.2305 0.1146  1 O 0.97
H 0.3283 0.9745 0.6640  1 O 0.97
H 0.9904 0.6543 0.9960  1 O 0.97
H 0.6604 0.3073 0.3303  1 O 0.97



No. 2
The following is a PBE calculation of a relaxed Ca2Al4Si4H10O21 crystal, from the Materials Project database.

Cell: 11.7392 11.7392 9.4133 Å, 88.63 88.63 44.52°
Last column: nearest neighbours and their distance in Å.
Positions (direct):
H 0.5790 0.5210 0.9047  1 O 0.97
H 0.8968 0.4674 0.3280  1 O 0.98
H 0.8029 0.1836 0.4698  1 O 0.99
H 0.4790 0.4210 0.5953  1 O 0.97
H 0.1032 0.5326 0.6720  1 O 0.98
H 0.1836 0.8029 0.9698  1 O 0.99
H 0.8164 0.1971 0.0302  1 O 0.99
H 0.9350 0.1576 0.1494  1 O 0.99
H 0.5327 0.3132 0.0158  1 O 0.98
H 0.5326 0.1032 0.1720  1 O 0.98
H 0.1576 0.9350 0.6494  1 O 0.99
H 0.8424 0.0650 0.3506  1 O 0.99
H 0.3132 0.5327 0.5158  1 O 0.98
H 0.4210 0.4790 0.0953  1 O 0.97
H 0.0650 0.8424 0.8506  1 O 0.99
H 0.4673 0.6868 0.9842  1 O 0.98
H 0.1971 0.8164 0.5302  1 O 0.99
H 0.5210 0.5790 0.4047  1 O 0.97
H 0.6868 0.4673 0.4842  1 O 0.98
H 0.4674 0.8968 0.8280  1 O 0.98
O 0.7556 0.1011 0.9643  1 Si 1.64, 1 Al 1.78, 1 H 1.83
O 0.2580 0.3260 0.4094  1 Si 1.65, 1 Al 1.77
O 0.0839 0.6225 0.7101  1 H 0.98
O 0.8537 0.2397 0.0776  2 H 0.99
O 0.5953 0.8706 0.3783  1 Si 1.64, 1 Al 1.77
O 0.1379 0.2070 0.9769  1 Si 1.65, 1 Al 1.78
O 0.1294 0.4047 0.1217  1 Si 1.64, 1 Al 1.77
O 0.9141 0.9463 0.7177  1 Si 1.63, 1 Al 1.75, 1 H 1.77
O 0.6075 0.9217 0.8595  1 Si 1.62, 1 Al 1.75
O 0.3925 0.0783 0.1405  1 Si 1.62, 1 Al 1.75
O 0.0537 0.0859 0.7823  1 Si 1.63, 1 Al 1.75, 1 H 1.77
O 0.9463 0.9141 0.2177  1 Si 1.63, 1 Al 1.75, 1 H 1.77
O 0.1463 0.7603 0.9224  2 H 0.99
O 0.2397 0.8537 0.5776  2 H 0.99
O 0.2615 0.7385 0.2500  2 Si 1.66
O 0.9161 0.3775 0.2899  1 H 0.98
O 0.6225 0.0839 0.2101  1 H 0.98
O 0.0783 0.3925 0.6405  1 Si 1.62, 1 Al 1.75
O 0.7385 0.2615 0.7500  2 Si 1.66
O 0.5742 0.5730 0.9869  2 H 0.97-0.98
O 0.4107 0.8341 0.2694  1 Si 1.63, 1 Al 1.77
O 0.1659 0.5893 0.2306  1 Si 1.63, 1 Al 1.77
O 0.4258 0.4270 0.0131  2 H 0.97-0.98
O 0.5893 0.1659 0.7306  1 Si 1.63, 1 Al 1.77
O 0.9217 0.6075 0.3595  1 Si 1.62, 1 Al 1.75
O 0.4047 0.1294 0.6217  1 Si 1.64, 1 Al 1.77
O 0.6740 0.7420 0.0906  1 Si 1.65, 1 Al 1.77
O 0.8706 0.5953 0.8783  1 Si 1.64, 1 Al 1.77
O 0.8621 0.7930 0.0231  1 Si 1.65, 1 Al 1.78
O 0.8341 0.4107 0.7694  1 Si 1.63, 1 Al 1.77
O 0.7930 0.8621 0.5231  1 Si 1.65, 1 Al 1.78
O 0.4270 0.4258 0.5131  2 H 0.97-0.98
O 0.2444 0.8989 0.0357  1 Si 1.64, 1 Al 1.78, 1 H 1.83
O 0.3260 0.2580 0.9094  1 Si 1.65, 1 Al 1.77
O 0.5730 0.5742 0.4869  2 H 0.97-0.98
O 0.3775 0.9161 0.7899  1 H 0.98
O 0.2070 0.1379 0.4769  1 Si 1.65, 1 Al 1.78
O 0.7420 0.6740 0.5906  1 Si 1.65, 1 Al 1.77
O 0.0859 0.0537 0.2823  1 Si 1.63, 1 Al 1.75, 1 H 1.77
O 0.7603 0.1463 0.4224  2 H 0.99
O 0.8989 0.2444 0.5357  1 Si 1.64, 1 Al 1.78, 1 H 1.83
O 0.1011 0.7556 0.4643  1 Si 1.64, 1 Al 1.78, 1 H 1.83
Si 0.8852 0.2497 0.7099  4 O 1.63-1.66
Si 0.2501 0.2303 0.0388  4 O 1.62-1.65
Si 0.2497 0.8852 0.2099  4 O 1.63-1.66
Si 0.2303 0.2501 0.5388  4 O 1.62-1.65
Si 0.1148 0.7503 0.2901  4 O 1.63-1.66
Si 0.7503 0.1148 0.7901  4 O 1.63-1.66
Si 0.7697 0.7499 0.4612  4 O 1.62-1.65
Si 0.7499 0.7697 0.9612  4 O 1.62-1.65
Al 0.8828 0.5172 0.7141  4 O 1.75-1.77
Al 0.8000 0.9674 0.1010  4 O 1.75-1.78
Al 0.1172 0.4828 0.2859  4 O 1.75-1.77
Al 0.5172 0.8828 0.2141  4 O 1.75-1.77
Al 0.4828 0.1172 0.7859  4 O 1.75-1.77
Al 0.9674 0.8000 0.6010  4 O 1.75-1.78
Al 0.2000 0.0326 0.8990  4 O 1.75-1.78
Al 0.0326 0.2000 0.3990  4 O 1.75-1.78
Ca 0.8437 0.4455 0.0449  6 O 2.35-2.53
Ca 0.4455 0.8437 0.5449  6 O 2.35-2.53
Ca 0.5545 0.1563 0.4551  6 O 2.35-2.53
Ca 0.1563 0.5545 0.9551  6 O 2.35-2.53



No. 3
The following is a PBE calculation of a relaxed CaAl2Si3H6O13 crystal, from the Materials Project database.

Cell: 10.1960 10.1960 10.0003 Å, 84.04 84.04 141.97°
Last column: nearest neighbours and their distance in Å.
Positions (direct):
O 0.4483 0.8141 0.8683  2 H 0.98
O 0.3238 0.3658 0.5848  1 Si 1.65, 1 Al 1.78
O 0.6304 0.9294 0.3686  2 Si 1.66
O 0.3245 0.9871 0.6331  2 H 0.97-0.99
O 0.7681 0.1450 0.5614  1 Si 1.61, 1 Al 1.75
O 0.3479 0.5409 0.3078  1 Si 1.65, 1 Al 1.77
O 0.3899 0.2942 0.3513  1 Si 1.63, 1 Al 1.75
O 0.8141 0.4483 0.3683  2 H 0.98
O 0.5409 0.3479 0.8078  1 Si 1.65, 1 Al 1.77
O 0.3658 0.3238 0.0848  1 Si 1.65, 1 Al 1.78
O 0.0992 0.3959 0.7014  1 Si 1.61, 1 Al 1.75
O 0.9871 0.3245 0.1331  2 H 0.97-0.99
O 0.4392 0.8453 0.1694  1 Si 1.62, 1 Al 1.76
O 0.5428 0.7429 0.6337  2 Si 1.64-1.65
O 0.0728 0.9566 0.9564  1 Si 1.63, 1 H 1.64, 1 Al 1.77
O 0.7415 0.8505 0.9419  2 H 0.97-1.00
O 0.9294 0.6304 0.8686  2 Si 1.66
O 0.1450 0.7681 0.0614  1 Si 1.61, 1 Al 1.75
O 0.9566 0.0728 0.4564  1 Si 1.63, 1 H 1.64, 1 Al 1.77
O 0.7429 0.5428 0.1337  2 Si 1.64-1.65
O 0.1847 0.6268 0.4407  1 Si 1.63, 1 Al 1.78
O 0.6268 0.1847 0.9407  1 Si 1.63, 1 Al 1.78
O 0.8453 0.4392 0.6694  1 Si 1.62, 1 Al 1.76
O 0.8505 0.7415 0.4419  2 H 0.97-1.00
O 0.3959 0.0992 0.2014  1 Si 1.61, 1 Al 1.75
O 0.2942 0.3899 0.8513  1 Si 1.63, 1 Al 1.75
Ca 0.3666 0.5719 0.0539  5 O 2.30-2.51
Ca 0.5719 0.3666 0.5539  5 O 2.30-2.51
Si 0.3087 0.4678 0.6933  4 O 1.61-1.65
Si 0.7332 0.3948 0.8261  4 O 1.62-1.66
Si 0.7297 0.9780 0.5042  4 O 1.61-1.66
Si 0.9780 0.7297 0.0042  4 O 1.61-1.66
Si 0.4678 0.3087 0.1933  4 O 1.61-1.65
Si 0.3948 0.7332 0.3261  4 O 1.62-1.66
H 0.3378 0.9257 0.5747  1 O 0.97
H 0.9551 0.5181 0.3700  1 O 0.98
H 0.5181 0.9551 0.8700  1 O 0.98
H 0.9257 0.3378 0.0747  1 O 0.97
H 0.8365 0.5023 0.2699  1 O 0.98
H 0.8665 0.8895 0.9467  1 O 1.00
H 0.8576 0.1855 0.2119  1 O 0.99
H 0.5023 0.8365 0.7699  1 O 0.98
H 0.9766 0.8068 0.3725  1 O 0.97
H 0.1855 0.8576 0.7119  1 O 0.99
H 0.8068 0.9766 0.8725  1 O 0.97
H 0.8895 0.8665 0.4467  1 O 1.00
Al 0.2481 0.3183 0.4259  4 O 1.75-1.78
Al 0.9741 0.3995 0.5977  4 O 1.75-1.78
Al 0.3995 0.9741 0.0977  4 O 1.75-1.78
Al 0.3183 0.2481 0.9259  4 O 1.75-1.78



no.,E_form (kJ per mole of atoms),size of the total moment (μB per cell)
1,-294.9,8.00
2,-253.8,0.00
3,-252.7,0.00